1.
Below is crystalline CuBiTeO at its relaxed geometry, with properties calculated at the GGA-PBE level.

Lattice parameters (Å, degrees): 4.0611 4.0611 9.6239 90.00 90.00 90.00
Positions (direct):
1 Cu 0.2500 0.7500 0.0000
2 Cu 0.7500 0.2500 0.0000
3 Bi 0.2500 0.2500 0.3727
4 Bi 0.7500 0.7500 0.6273
5 Te 0.2500 0.2500 0.8196
6 Te 0.7500 0.7500 0.1804
7 O 0.2500 0.7500 0.5000
8 O 0.7500 0.2500 0.5000

Results
crystal system = tetragonal

2.
Below is crystalline CuBi2Te2O at its relaxed geometry, with properties calculated at the GGA-PBE level.

Lattice parameters (Å, degrees): 3.2547 3.2547 16.6304 90.00 90.00 90.00
Positions (direct):
1 Cu 0.0000 0.0000 0.0000
2 Bi 0.0000 0.0000 0.3746
3 Bi 0.0000 0.0000 0.6254
4 Te 0.0000 0.0000 0.1483
5 Te 0.0000 0.0000 0.8517
6 O 0.0000 0.0000 0.5000

Results
crystal system = tetragonal

3.
Below is crystalline YCu3Bi4O12 at its relaxed geometry, with properties calculated at the GGA-PBE level.

Lattice parameters (Å, degrees): 7.0992 7.0992 7.0992 109.47 109.47 109.47
Positions (direct):
1 Y 0.0000 0.0000 0.0000
2 Cu 0.0000 0.5000 0.5000
3 Cu 0.5000 0.0000 0.5000
4 Cu 0.5000 0.5000 0.0000
5 Bi 0.0000 0.0000 0.5000
6 Bi 0.0000 0.5000 0.0000
7 Bi 0.5000 0.0000 0.0000
8 Bi 0.5000 0.5000 0.5000
9 O 0.1511 0.3107 0.4618
10 O 0.1511 0.6893 0.8404
11 O 0.1596 0.8489 0.3107
12 O 0.3107 0.1596 0.8489
13 O 0.3107 0.4618 0.1511
14 O 0.4618 0.1511 0.3107
15 O 0.5382 0.8489 0.6893
16 O 0.6893 0.5382 0.8489
17 O 0.6893 0.8404 0.1511
18 O 0.8404 0.1511 0.6893
19 O 0.8489 0.3107 0.1596
20 O 0.8489 0.6893 0.5382

Results
crystal system = cubic

4.
Below is crystalline ZnCuBiO5 at its relaxed geometry, with properties calculated at the GGA-PBE level.

Lattice parameters (Å, degrees): 5.2246 15.0357 9.6902 90.00 90.00 90.00
Positions (direct):
1 Zn 0.0581 0.0632 0.1257
2 Zn 0.0581 0.4368 0.6257
3 Zn 0.4419 0.5632 0.1257
4 Zn 0.4419 0.9368 0.6257
5 Zn 0.5581 0.0632 0.3743
6 Zn 0.5581 0.4368 0.8743
7 Zn 0.9419 0.5632 0.3743
8 Zn 0.9419 0.9368 0.8743
9 Cu 0.0267 0.5721 0.8848
10 Cu 0.0267 0.9279 0.3848
11 Cu 0.4733 0.0721 0.8848
12 Cu 0.4733 0.4279 0.3848
13 Cu 0.5267 0.5721 0.6152
14 Cu 0.5267 0.9279 0.1152
15 Cu 0.9733 0.0721 0.6152
16 Cu 0.9733 0.4279 0.1152
17 Bi 0.0220 0.2501 0.3632
18 Bi 0.0220 0.2499 0.8632
19 Bi 0.4780 0.7501 0.3632
20 Bi 0.4780 0.7499 0.8632
21 Bi 0.5220 0.2501 0.1368
22 Bi 0.5220 0.2499 0.6368
23 Bi 0.9780 0.7501 0.1368
24 Bi 0.9780 0.7499 0.6368
25 O 0.1441 0.6728 0.3083
26 O 0.1441 0.8272 0.8083
27 O 0.1659 0.0048 0.7373
28 O 0.1659 0.4952 0.2373
29 O 0.1724 0.1711 0.6813
30 O 0.1724 0.3289 0.1813
31 O 0.2227 0.6529 0.9984
32 O 0.2227 0.8471 0.4984
33 O 0.2342 0.0184 0.4772
34 O 0.2342 0.4816 0.9772
35 O 0.2658 0.5184 0.4772
36 O 0.2658 0.9816 0.9772
37 O 0.2773 0.1529 0.9984
38 O 0.2773 0.3471 0.4984
39 O 0.3276 0.6711 0.6813
40 O 0.3276 0.8289 0.1813
41 O 0.3341 0.5048 0.7373
42 O 0.3341 0.9952 0.2373
43 O 0.3559 0.1728 0.3083
44 O 0.3559 0.3272 0.8083
45 O 0.6441 0.6728 0.1917
46 O 0.6441 0.8272 0.6917
47 O 0.6659 0.0048 0.7627
48 O 0.6659 0.4952 0.2627
49 O 0.6724 0.1711 0.8187
50 O 0.6724 0.3289 0.3187
51 O 0.7227 0.6529 0.5016
52 O 0.7227 0.8471 0.0016
53 O 0.7342 0.0184 0.0228
54 O 0.7342 0.4816 0.5228
55 O 0.7658 0.5184 0.0228
56 O 0.7658 0.9816 0.5228
57 O 0.7773 0.1529 0.5016
58 O 0.7773 0.3471 0.0016
59 O 0.8276 0.6711 0.8187
60 O 0.8276 0.8289 0.3187
61 O 0.8341 0.5048 0.7627
62 O 0.8341 0.9952 0.2627
63 O 0.8559 0.1728 0.1917
64 O 0.8559 0.3272 0.6917

Results
crystal system = orthorhombic
relative energy among the computed polymorphs = 21.4 meV per atom

5.
Below is crystalline ZnCuBiO5 at its relaxed geometry, with properties calculated at the GGA-PBE level.

Lattice parameters (Å, degrees): 5.1672 10.9612 8.0089 90.00 106.52 90.00
Positions (direct):
1 Zn 0.0374 0.0880 0.1895
2 Zn 0.0374 0.4120 0.6895
3 Zn 0.9626 0.5880 0.3105
4 Zn 0.9626 0.9120 0.8105
5 Cu 0.3425 0.6404 0.0372
6 Cu 0.3425 0.8596 0.5372
7 Cu 0.6575 0.1404 0.4628
8 Cu 0.6575 0.3596 0.9628
9 Bi 0.4851 0.1020 0.8379
10 Bi 0.4851 0.3980 0.3379
11 Bi 0.5149 0.6020 0.6621
12 Bi 0.5149 0.8980 0.1621
13 O 0.2214 0.5210 0.1620
14 O 0.2214 0.9790 0.6620
15 O 0.2414 0.5649 0.8185
16 O 0.2414 0.9351 0.3185
17 O 0.2432 0.0388 0.0053
18 O 0.2432 0.4612 0.5053
19 O 0.2499 0.7059 0.4508
20 O 0.2499 0.7941 0.9508
21 O 0.3685 0.2090 0.2856
22 O 0.3685 0.2910 0.7856
23 O 0.6315 0.7090 0.2144
24 O 0.6315 0.7910 0.7144
25 O 0.7501 0.2059 0.0492
26 O 0.7501 0.2941 0.5492
27 O 0.7568 0.5388 0.4947
28 O 0.7568 0.9612 0.9947
29 O 0.7586 0.0649 0.6815
30 O 0.7586 0.4351 0.1815
31 O 0.7786 0.0210 0.3380
32 O 0.7786 0.4790 0.8380

Results
crystal system = monoclinic
relative energy among the computed polymorphs = 0.0 meV per atom

6.
Below is crystalline CuBiP2Se6 at its relaxed geometry, with properties calculated at the GGA-PBE level.

Lattice parameters (Å, degrees): 6.6123 6.6123 14.7377 90.00 90.00 120.00
Positions (direct):
1 Cu 0.0000 0.0000 0.2500
2 Cu 0.0000 0.0000 0.7500
3 Bi 0.3333 0.6667 0.2500
4 Bi 0.6667 0.3333 0.7500
5 P 0.3333 0.6667 0.6726
6 P 0.3333 0.6667 0.8274
7 P 0.6667 0.3333 0.1726
8 P 0.6667 0.3333 0.3274
9 Se 0.0310 0.3250 0.8677
10 Se 0.0310 0.7060 0.6323
11 Se 0.2940 0.3250 0.6323
12 Se 0.2940 0.9690 0.8677
13 Se 0.3250 0.0310 0.3677
14 Se 0.3250 0.2940 0.1323
15 Se 0.6750 0.7060 0.8677
16 Se 0.6750 0.9690 0.6323
17 Se 0.7060 0.0310 0.1323
18 Se 0.7060 0.6750 0.3677
19 Se 0.9690 0.2940 0.3677
20 Se 0.9690 0.6750 0.1323

Results
crystal system = trigonal
relative energy among the computed polymorphs = 4.4 meV per atom

7.
Below is crystalline CuBiP2Se6 at its relaxed geometry, with properties calculated at the GGA-PBE level.

Lattice parameters (Å, degrees): 29.0261 29.0261 29.0261 13.11 13.11 13.11
Positions (direct):
1 Cu 0.0437 0.0437 0.0437
2 Cu 0.1394 0.1394 0.1394
3 Cu 0.8606 0.8606 0.8606
4 Cu 0.9563 0.9563 0.9563
5 Bi 0.2921 0.2921 0.2921
6 Bi 0.4550 0.4550 0.4550
7 Bi 0.5450 0.5450 0.5450
8 Bi 0.7079 0.7079 0.7079
9 P 0.1962 0.1962 0.1962
10 P 0.2227 0.2227 0.2227
11 P 0.3615 0.3615 0.3615
12 P 0.3879 0.3879 0.3879
13 P 0.6121 0.6121 0.6121
14 P 0.6385 0.6385 0.6385
15 P 0.7773 0.7773 0.7773
16 P 0.8038 0.8038 0.8038
17 Se 0.0550 0.3123 0.6972
18 Se 0.0644 0.4291 0.8183
19 Se 0.0910 0.7338 0.3606
20 Se 0.1377 0.8009 0.4991
21 Se 0.1817 0.9356 0.5709
22 Se 0.1991 0.5009 0.8623
23 Se 0.2662 0.6394 0.9090
24 Se 0.3028 0.9450 0.6877
25 Se 0.3123 0.6972 0.0550
26 Se 0.3606 0.0910 0.7338
27 Se 0.4291 0.8183 0.0644
28 Se 0.4991 0.1377 0.8009
29 Se 0.5009 0.8623 0.1991
30 Se 0.5709 0.1817 0.9356
31 Se 0.6394 0.9090 0.2662
32 Se 0.6877 0.3028 0.9450
33 Se 0.6972 0.0550 0.3123
34 Se 0.7338 0.3606 0.0910
35 Se 0.8009 0.4991 0.1377
36 Se 0.8183 0.0644 0.4291
37 Se 0.8623 0.1991 0.5009
38 Se 0.9090 0.2662 0.6394
39 Se 0.9356 0.5709 0.1817
40 Se 0.9450 0.6877 0.3028

Results
crystal system = trigonal
relative energy among the computed polymorphs = 0.0 meV per atom

8.
Below is crystalline CuBi3PbS6 at its relaxed geometry, with properties calculated at the GGA-PBE level.

Lattice parameters (Å, degrees): 4.0549 11.3691 11.6872 90.00 90.00 90.00
Positions (direct):
1 Cu 0.0000 0.0418 0.0000
2 Cu 0.0000 0.9582 0.5000
3 Bi 0.0000 0.2367 0.6127
4 Bi 0.0000 0.4283 0.2888
5 Bi 0.0000 0.5717 0.7888
6 Bi 0.0000 0.7633 0.1127
7 Bi 0.5000 0.0736 0.2489
8 Bi 0.5000 0.9264 0.7489
9 Pb 0.5000 0.2859 0.9348
10 Pb 0.5000 0.7141 0.4348
11 S 0.0000 0.1062 0.8046
12 S 0.0000 0.1904 0.1383
13 S 0.0000 0.4502 0.9778
14 S 0.0000 0.5498 0.4778
15 S 0.0000 0.8096 0.6383
16 S 0.0000 0.8938 0.3046
17 S 0.5000 0.0528 0.5429
18 S 0.5000 0.3018 0.3779
19 S 0.5000 0.3747 0.7052
20 S 0.5000 0.6253 0.2052
21 S 0.5000 0.6982 0.8779
22 S 0.5000 0.9472 0.0429

Results
crystal system = orthorhombic
relative energy among the computed polymorphs = 26.5 meV per atom

9.
Below is crystalline Cu4Bi5PbS11 at its relaxed geometry, with properties calculated at the GGA-PBE level.

Lattice parameters (Å, degrees): 9.0742 9.0742 27.1940 92.14 92.14 25.16
Positions (direct):
1 Cu 0.0089 0.0089 0.2666
2 Cu 0.1290 0.1290 0.9221
3 Cu 0.1954 0.1954 0.2875
4 Cu 0.2984 0.2984 0.4738
5 Cu 0.7016 0.7016 0.5262
6 Cu 0.8046 0.8046 0.7125
7 Cu 0.8710 0.8710 0.0779
8 Cu 0.9911 0.9911 0.7334
9 Bi 0.1276 0.1276 0.6504
10 Bi 0.1847 0.1847 0.0522
11 Bi 0.3289 0.3289 0.2053
12 Bi 0.3717 0.3717 0.6001
13 Bi 0.4408 0.4408 0.8446
14 Bi 0.5592 0.5592 0.1554
15 Bi 0.6283 0.6283 0.3999
16 Bi 0.6711 0.6711 0.7947
17 Bi 0.8153 0.8153 0.9478
18 Bi 0.8724 0.8724 0.3496
19 Pb 0.0000 0.0000 0.5000
20 Pb 0.5000 0.5000 0.0000
21 S 0.0377 0.0377 0.0744
22 S 0.0933 0.0933 0.3362
23 S 0.0961 0.0961 0.8418
24 S 0.1101 0.1101 0.2149
25 S 0.1617 0.1617 0.4885
26 S 0.2357 0.2357 0.7222
27 S 0.2902 0.2902 0.3898
28 S 0.2985 0.2985 0.8791
29 S 0.3459 0.3459 0.0339
30 S 0.4389 0.4389 0.2726
31 S 0.4881 0.4881 0.4230
32 S 0.5119 0.5119 0.5770
33 S 0.5611 0.5611 0.7274
34 S 0.6541 0.6541 0.9661
35 S 0.7015 0.7015 0.1209
36 S 0.7098 0.7098 0.6102
37 S 0.7643 0.7643 0.2778
38 S 0.8383 0.8383 0.5115
39 S 0.8899 0.8899 0.7851
40 S 0.9039 0.9039 0.1582
41 S 0.9067 0.9067 0.6638
42 S 0.9623 0.9623 0.9256

Results
crystal system = monoclinic

10.
Below is crystalline Cu2Bi8Pb2S15 at its relaxed geometry, with properties calculated at the GGA-PBE level.

Lattice parameters (Å, degrees): 11.6952 4.0294 55.8435 90.00 90.00 90.00
Positions (direct):
1 Cu 0.2196 0.2500 0.1570
2 Cu 0.2206 0.2500 0.3582
3 Cu 0.2794 0.7500 0.8582
4 Cu 0.2804 0.7500 0.6570
5 Cu 0.7196 0.2500 0.3430
6 Cu 0.7206 0.2500 0.1418
7 Cu 0.7794 0.7500 0.6418
8 Cu 0.7804 0.7500 0.8430
9 Bi 0.0058 0.2500 0.0647
10 Bi 0.0074 0.2500 0.2657
11 Bi 0.0206 0.2500 0.4662
12 Bi 0.0236 0.2500 0.8628
13 Bi 0.0273 0.2500 0.6626
14 Bi 0.1454 0.7500 0.2076
15 Bi 0.1478 0.7500 0.4072
16 Bi 0.1570 0.7500 0.0077
17 Bi 0.3430 0.2500 0.5077
18 Bi 0.3522 0.2500 0.9072
19 Bi 0.3546 0.2500 0.7076
20 Bi 0.4727 0.7500 0.1626
21 Bi 0.4764 0.7500 0.3628
22 Bi 0.4794 0.7500 0.9662
23 Bi 0.4926 0.7500 0.7657
24 Bi 0.4942 0.7500 0.5647
25 Bi 0.5058 0.2500 0.4353
26 Bi 0.5074 0.2500 0.2343
27 Bi 0.5206 0.2500 0.0338
28 Bi 0.5236 0.2500 0.6372
29 Bi 0.5273 0.2500 0.8374
30 Bi 0.6454 0.7500 0.2924
31 Bi 0.6478 0.7500 0.0928
32 Bi 0.6570 0.7500 0.4923
33 Bi 0.8430 0.2500 0.9923
34 Bi 0.8522 0.2500 0.5928
35 Bi 0.8546 0.2500 0.7924
36 Bi 0.9727 0.7500 0.3374
37 Bi 0.9764 0.7500 0.1372
38 Bi 0.9794 0.7500 0.5338
39 Bi 0.9926 0.7500 0.7343
40 Bi 0.9942 0.7500 0.9353
41 Pb 0.1833 0.7500 0.5990
42 Pb 0.1848 0.7500 0.8004
43 Pb 0.3152 0.2500 0.3004
44 Pb 0.3167 0.2500 0.0990
45 Pb 0.6833 0.7500 0.9010
46 Pb 0.6848 0.7500 0.6996
47 Pb 0.8152 0.2500 0.1996
48 Pb 0.8167 0.2500 0.4010
49 S 0.0382 0.2500 0.3746
50 S 0.0399 0.2500 0.1747
51 S 0.0511 0.2500 0.5708
52 S 0.0517 0.2500 0.9747
53 S 0.0556 0.2500 0.7715
54 S 0.1067 0.7500 0.0891
55 S 0.1093 0.7500 0.2902
56 S 0.1272 0.7500 0.4899
57 S 0.1283 0.7500 0.8879
58 S 0.1329 0.7500 0.6877
59 S 0.2044 0.2500 0.2391
60 S 0.2067 0.2500 0.0397
61 S 0.2119 0.2500 0.4382
62 S 0.2261 0.2500 0.8398
63 S 0.2278 0.2500 0.6387
64 S 0.2722 0.7500 0.1387
65 S 0.2739 0.7500 0.3398
66 S 0.2881 0.7500 0.9382
67 S 0.2933 0.7500 0.5397
68 S 0.2956 0.7500 0.7391
69 S 0.3671 0.2500 0.1877
70 S 0.3717 0.2500 0.3879
71 S 0.3728 0.2500 0.9899
72 S 0.3907 0.2500 0.7902
73 S 0.3933 0.2500 0.5891
74 S 0.4444 0.7500 0.2715
75 S 0.4483 0.7500 0.4747
76 S 0.4489 0.7500 0.0708
77 S 0.4601 0.7500 0.6747
78 S 0.4618 0.7500 0.8746
79 S 0.5382 0.2500 0.1254
80 S 0.5399 0.2500 0.3253
81 S 0.5511 0.2500 0.9292
82 S 0.5517 0.2500 0.5253
83 S 0.5556 0.2500 0.7285
84 S 0.6067 0.7500 0.4109
85 S 0.6093 0.7500 0.2098
86 S 0.6272 0.7500 0.0101
87 S 0.6283 0.7500 0.6121
88 S 0.6329 0.7500 0.8123
89 S 0.7044 0.2500 0.2609
90 S 0.7067 0.2500 0.4603
91 S 0.7119 0.2500 0.0618
92 S 0.7261 0.2500 0.6602
93 S 0.7278 0.2500 0.8613
94 S 0.7722 0.7500 0.3613
95 S 0.7739 0.7500 0.1602
96 S 0.7881 0.7500 0.5618
97 S 0.7933 0.7500 0.9603
98 S 0.7956 0.7500 0.7609
99 S 0.8671 0.2500 0.3123
100 S 0.8717 0.2500 0.1121
101 S 0.8728 0.2500 0.5101
102 S 0.8907 0.2500 0.7098
103 S 0.8933 0.2500 0.9109
104 S 0.9444 0.7500 0.2285
105 S 0.9483 0.7500 0.0253
106 S 0.9489 0.7500 0.4292
107 S 0.9601 0.7500 0.8253
108 S 0.9618 0.7500 0.6254

Results
crystal system = orthorhombic

no.,total magnetic moment (Bohr magnetons per cell),ΔE_f (eV per atom)
1,0.0,-0.734
2,0.0,-0.184
3,0.0,-1.506
4,4.3,-1.112
5,0.0,-1.134
6,0.0,-0.440
7,0.0,-0.444
8,0.0,-0.596
9,0.0,-0.545
10,0.1,-0.626